# 1
{
  "formula": "U6P13Rh20",
  "functional": "PBE-GGA",
  "state": "relaxed",
  "formation_enthalpy_0k_ev_per_atom": -0.829,
  "lattice_angstrom": [[6.730, -11.657, 0.000], [6.730, 11.657, 0.000], [0.000, 0.000, 3.865]],
  "species": ["U", "U", "U", "U", "U", "U", "P", "P", "P", "P", "P", "P", "P", "P", "P", "P", "P", "P", "P", "Rh", "Rh", "Rh", "Rh", "Rh", "Rh", "Rh", "Rh", "Rh", "Rh", "Rh", "Rh", "Rh", "Rh", "Rh", "Rh", "Rh", "Rh", "Rh", "Rh"],
  "fractional_positions": [[0.190, 0.474, 0.000], [0.526, 0.716, 0.000], [0.284, 0.810, 0.000], [0.718, 0.189, 0.500], [0.811, 0.529, 0.500], [0.471, 0.282, 0.500], [0.388, 0.527, 0.500], [0.473, 0.862, 0.500], [0.138, 0.612, 0.500], [0.772, 0.058, 0.000], [0.942, 0.714, 0.000], [0.286, 0.228, 0.000], [0.054, 0.285, 0.500], [0.715, 0.769, 0.500], [0.231, 0.946, 0.500], [0.526, 0.139, 0.000], [0.861, 0.387, 0.000], [0.613, 0.474, 0.000], [0.000, 0.000, 0.000], [0.439, 0.021, 0.500], [0.979, 0.418, 0.500], [0.582, 0.561, 0.500], [0.667, 0.333, 0.000], [0.417, 0.437, 0.000], [0.563, 0.980, 0.000], [0.020, 0.583, 0.000], [0.924, 0.253, 0.000], [0.747, 0.671, 0.000], [0.329, 0.076, 0.000], [0.333, 0.667, 0.500], [0.906, 0.093, 0.500], [0.907, 0.814, 0.500], [0.186, 0.094, 0.500], [0.097, 0.192, 0.000], [0.808, 0.905, 0.000], [0.095, 0.903, 0.000], [0.251, 0.331, 0.500], [0.669, 0.920, 0.500], [0.080, 0.749, 0.500]]
}

---

# 2
{
  "formula": "Y2P7Rh12",
  "functional": "PBE-GGA",
  "state": "relaxed",
  "formation_enthalpy_0k_ev_per_atom": -0.922,
  "lattice_angstrom": [[0.842, 6.357, -7.172], [-6.556, -7.020, -0.540], [-2.608, 2.302, 1.734]],
  "species": ["Y", "Y", "P", "P", "P", "P", "P", "P", "P", "Rh", "Rh", "Rh", "Rh", "Rh", "Rh", "Rh", "Rh", "Rh", "Rh", "Rh", "Rh"],
  "fractional_positions": [[0.333, 0.667, 0.749], [0.667, 0.333, 0.251], [0.000, 0.000, 0.500], [0.405, 0.287, 0.753], [0.713, 0.119, 0.753], [0.881, 0.595, 0.753], [0.595, 0.713, 0.247], [0.287, 0.881, 0.247], [0.119, 0.405, 0.247], [0.450, 0.068, 0.751], [0.932, 0.382, 0.751], [0.618, 0.550, 0.751], [0.550, 0.932, 0.249], [0.068, 0.618, 0.249], [0.382, 0.450, 0.249], [0.151, 0.261, 0.750], [0.739, 0.889, 0.750], [0.111, 0.849, 0.750], [0.849, 0.739, 0.250], [0.261, 0.111, 0.250], [0.889, 0.151, 0.250]]
}

---

no.,DFT total energy (eV/atom)
1,-8.15
2,-7.55